1.
Na4Al4H10O13 | PBE | relaxed

Output
Crystal system = tetragonal
Symmetry = P-42_1m
MP2020-corrected energy = -5.9481 eV per atom

Unit cell a=10.589 b=10.589 c=5.373 alpha=90.00 beta=90.00 gamma=90.00
Fractional coordinates of all 62 atoms:
Na 0.100 0.400 0.093
Na 0.198 0.698 0.826
Na 0.302 0.198 0.174
Na 0.400 0.900 0.907
Na 0.600 0.100 0.907
Na 0.698 0.802 0.174
Na 0.802 0.302 0.826
Na 0.900 0.600 0.093
Al 0.095 0.189 0.602
Al 0.189 0.905 0.398
Al 0.311 0.405 0.602
Al 0.405 0.689 0.398
Al 0.595 0.311 0.398
Al 0.689 0.595 0.602
Al 0.811 0.095 0.398
Al 0.905 0.811 0.602
H 0.016 0.161 0.014
H 0.054 0.446 0.613
H 0.085 0.689 0.320
H 0.161 0.984 0.986
H 0.189 0.585 0.320
H 0.311 0.085 0.680
H 0.339 0.484 0.014
H 0.415 0.189 0.680
H 0.446 0.946 0.387
H 0.484 0.661 0.986
H 0.516 0.339 0.986
H 0.554 0.054 0.387
H 0.585 0.811 0.680
H 0.661 0.516 0.014
H 0.689 0.915 0.680
H 0.811 0.415 0.320
H 0.839 0.016 0.986
H 0.915 0.311 0.320
H 0.946 0.554 0.613
H 0.984 0.839 0.014
O 0.000 0.500 0.723
O 0.063 0.810 0.501
O 0.096 0.190 0.939
O 0.115 0.615 0.214
O 0.168 0.332 0.502
O 0.190 0.063 0.499
O 0.190 0.904 0.061
O 0.310 0.404 0.939
O 0.310 0.563 0.501
O 0.332 0.832 0.498
O 0.385 0.115 0.786
O 0.404 0.690 0.061
O 0.437 0.310 0.499
O 0.500 0.000 0.277
O 0.563 0.690 0.499
O 0.596 0.310 0.061
O 0.615 0.885 0.786
O 0.668 0.168 0.498
O 0.690 0.437 0.501
O 0.690 0.596 0.939
O 0.810 0.096 0.061
O 0.810 0.937 0.499
O 0.832 0.668 0.502
O 0.885 0.385 0.214
O 0.904 0.810 0.939
O 0.937 0.190 0.501



2.
Zn3Sb | PBE | relaxed

Output
Crystal system = tetragonal
Symmetry = I4/mmm
MP2020-corrected energy = -1.8656 eV per atom

Unit cell a=5.329 b=5.329 c=5.329 alpha=134.14 beta=134.14 gamma=66.87
Fractional coordinates of all 4 atoms:
Zn 0.000 0.000 0.000
Zn 0.250 0.750 0.500
Zn 0.750 0.250 0.500
Sb 0.500 0.500 0.000



3.
NaCaAl3S6O24 | PBE | relaxed

Output
Crystal system = trigonal
Symmetry = P3
MP2020-corrected energy = -6.8694 eV per atom

Unit cell a=8.468 b=8.468 c=22.079 alpha=90.00 beta=90.00 gamma=120.00
Fractional coordinates of all 105 atoms:
Na 0.000 0.000 0.000
Na 0.000 0.000 0.499
Na 0.333 0.667 0.669
Ca 0.000 0.000 0.649
Ca 0.333 0.667 0.025
Ca 0.333 0.667 0.518
Al 0.000 0.000 0.150
Al 0.000 0.000 0.346
Al 0.000 0.000 0.847
Al 0.333 0.667 0.314
Al 0.333 0.667 0.823
Al 0.667 0.333 0.192
Al 0.667 0.333 0.475
Al 0.667 0.333 0.692
Al 0.667 0.333 0.981
S 0.005 0.293 0.250
S 0.005 0.695 0.754
S 0.029 0.360 0.916
S 0.031 0.670 0.412
S 0.288 0.995 0.250
S 0.305 0.310 0.754
S 0.330 0.361 0.412
S 0.330 0.971 0.916
S 0.378 0.311 0.088
S 0.395 0.062 0.584
S 0.639 0.969 0.412
S 0.640 0.670 0.916
S 0.667 0.605 0.584
S 0.689 0.067 0.088
S 0.690 0.995 0.754
S 0.707 0.712 0.250
S 0.933 0.622 0.088
S 0.938 0.333 0.584
O 0.002 0.825 0.398
O 0.042 0.211 0.196
O 0.055 0.800 0.697
O 0.113 0.643 0.085
O 0.117 0.500 0.589
O 0.125 0.487 0.865
O 0.127 0.637 0.361
O 0.137 0.720 0.468
O 0.139 0.416 0.972
O 0.159 0.666 0.769
O 0.167 0.473 0.261
O 0.169 0.958 0.196
O 0.175 0.177 0.398
O 0.177 0.003 0.901
O 0.196 0.140 0.093
O 0.200 0.255 0.697
O 0.205 0.034 0.302
O 0.206 0.179 0.803
O 0.216 0.049 0.579
O 0.278 0.861 0.972
O 0.280 0.417 0.468
O 0.305 0.833 0.261
O 0.334 0.493 0.769
O 0.357 0.470 0.085
O 0.362 0.875 0.865
O 0.363 0.490 0.361
O 0.383 0.883 0.589
O 0.462 0.287 0.032
O 0.471 0.156 0.241
O 0.485 0.160 0.641
O 0.485 0.323 0.747
O 0.485 0.327 0.143
O 0.494 0.152 0.527
O 0.496 0.347 0.420
O 0.499 0.149 0.925
O 0.500 0.617 0.589
O 0.507 0.841 0.769
O 0.510 0.873 0.361
O 0.513 0.638 0.865
O 0.527 0.695 0.261
O 0.530 0.887 0.085
O 0.583 0.863 0.468
O 0.584 0.722 0.972
O 0.650 0.501 0.925
O 0.653 0.149 0.420
O 0.658 0.506 0.527
O 0.673 0.158 0.143
O 0.675 0.515 0.641
O 0.677 0.162 0.747
O 0.684 0.529 0.241
O 0.713 0.174 0.032
O 0.745 0.945 0.697
O 0.789 0.831 0.196
O 0.821 0.026 0.803
O 0.823 0.998 0.398
O 0.826 0.538 0.032
O 0.826 0.823 0.901
O 0.829 0.795 0.302
O 0.833 0.784 0.579
O 0.838 0.515 0.747
O 0.840 0.325 0.641
O 0.842 0.515 0.143
O 0.844 0.316 0.241
O 0.848 0.342 0.527
O 0.851 0.350 0.925
O 0.851 0.504 0.420
O 0.860 0.057 0.093
O 0.943 0.804 0.093
O 0.951 0.167 0.579
O 0.966 0.171 0.302
O 0.974 0.794 0.803
O 0.997 0.174 0.901



4.
DyCoB4 | PBE | relaxed

Output
Crystal system = orthorhombic
Symmetry = Pbam

Unit cell a=5.904 b=11.424 c=3.390 alpha=90.00 beta=90.00 gamma=90.00
Fractional coordinates of all 24 atoms:
Dy 0.127 0.150 0.000
Dy 0.373 0.650 0.000
Dy 0.627 0.350 0.000
Dy 0.873 0.850 0.000
Co 0.135 0.411 0.000
Co 0.365 0.911 0.000
Co 0.635 0.089 0.000
Co 0.865 0.589 0.000
B 0.023 0.691 0.500
B 0.111 0.546 0.500
B 0.139 0.968 0.500
B 0.219 0.815 0.500
B 0.281 0.315 0.500
B 0.361 0.468 0.500
B 0.389 0.046 0.500
B 0.477 0.191 0.500
B 0.523 0.809 0.500
B 0.611 0.954 0.500
B 0.639 0.532 0.500
B 0.719 0.685 0.500
B 0.781 0.185 0.500
B 0.861 0.032 0.500
B 0.889 0.454 0.500
B 0.977 0.309 0.500



5.
Li3U7P5O35 | PBE | relaxed

Output
Crystal system = tetragonal
Symmetry = P-42_1m
MP2020-corrected energy = -8.9237 eV per atom

Unit cell a=10.058 b=10.058 c=14.772 alpha=90.00 beta=90.00 gamma=90.00
Fractional coordinates of all 100 atoms:
Li 0.000 0.500 0.200
Li 0.204 0.296 0.633
Li 0.296 0.796 0.367
Li 0.500 0.000 0.800
Li 0.704 0.204 0.367
Li 0.796 0.704 0.633
U 0.000 0.000 0.357
U 0.000 0.000 0.643
U 0.000 0.500 0.488
U 0.238 0.738 0.781
U 0.248 0.252 0.931
U 0.252 0.752 0.069
U 0.262 0.238 0.219
U 0.500 0.000 0.512
U 0.500 0.500 0.357
U 0.500 0.500 0.643
U 0.738 0.762 0.219
U 0.748 0.248 0.069
U 0.752 0.748 0.931
U 0.762 0.262 0.781
P 0.000 0.000 0.137
P 0.000 0.000 0.863
P 0.000 0.500 0.013
P 0.245 0.745 0.563
P 0.255 0.245 0.437
P 0.500 0.000 0.987
P 0.500 0.500 0.137
P 0.500 0.500 0.863
P 0.745 0.755 0.437
P 0.755 0.255 0.563
O 0.000 0.000 0.500
O 0.000 0.500 0.365
O 0.000 0.500 0.610
O 0.079 0.909 0.796
O 0.085 0.905 0.079
O 0.088 0.588 0.077
O 0.090 0.410 0.954
O 0.091 0.079 0.204
O 0.095 0.085 0.921
O 0.113 0.613 0.779
O 0.124 0.867 0.352
O 0.133 0.124 0.648
O 0.134 0.366 0.217
O 0.159 0.827 0.630
O 0.161 0.661 0.498
O 0.165 0.335 0.496
O 0.173 0.159 0.370
O 0.235 0.265 0.809
O 0.238 0.738 0.941
O 0.262 0.238 0.059
O 0.265 0.765 0.191
O 0.327 0.659 0.630
O 0.335 0.835 0.504
O 0.339 0.161 0.502
O 0.341 0.327 0.370
O 0.366 0.866 0.783
O 0.367 0.624 0.352
O 0.376 0.367 0.648
O 0.387 0.113 0.221
O 0.405 0.585 0.079
O 0.409 0.579 0.796
O 0.410 0.910 0.046
O 0.412 0.088 0.923
O 0.415 0.405 0.921
O 0.421 0.409 0.204
O 0.500 0.000 0.390
O 0.500 0.000 0.635
O 0.500 0.500 0.500
O 0.579 0.591 0.204
O 0.585 0.595 0.921
O 0.588 0.912 0.923
O 0.590 0.090 0.046
O 0.591 0.421 0.796
O 0.595 0.415 0.079
O 0.613 0.887 0.221
O 0.624 0.633 0.648
O 0.633 0.376 0.352
O 0.634 0.134 0.783
O 0.659 0.673 0.370
O 0.661 0.839 0.502
O 0.665 0.165 0.504
O 0.673 0.341 0.630
O 0.735 0.235 0.191
O 0.738 0.762 0.059
O 0.762 0.262 0.941
O 0.765 0.735 0.809
O 0.827 0.841 0.370
O 0.835 0.665 0.496
O 0.839 0.339 0.498
O 0.841 0.173 0.630
O 0.866 0.634 0.217
O 0.867 0.876 0.648
O 0.876 0.133 0.352
O 0.887 0.387 0.779
O 0.905 0.915 0.921
O 0.909 0.921 0.204
O 0.910 0.590 0.954
O 0.912 0.412 0.077
O 0.915 0.095 0.079
O 0.921 0.091 0.796



no.,energy relative to the elements (kJ/mol of atoms),E (eV per atom)
1,-205.0,-5.66
2,10.8,-1.82
3,-226.9,-6.40
4,-57.2,-7.00
5,-311.0,-8.44